# Mn4Sb3As

A relaxed structure of Mn4Sb3As (meta-GGA r2SCAN, the Materials Project).

CIF file:
```
data_Mn4Sb3As
_symmetry_space_group_name_H-M 'P 3 m 1'
_symmetry_Int_Tables_number 156
_cell_length_a 4.0475
_cell_length_b 4.0475
_cell_length_c 11.7103
_cell_angle_alpha 90.00
_cell_angle_beta 90.00
_cell_angle_gamma 120.00
loop_
_symmetry_equiv_pos_as_xyz
'x,y,z'
'-y,x-y,z'
'-x+y,-x,z'
'-y,-x,z'
'-x+y,y,z'
'x,x-y,z'
loop_
_atom_site_label
_atom_site_fract_x
_atom_site_fract_y
_atom_site_fract_z
Mn1 0.0000 0.0000 0.0000
Mn2 0.0000 0.0000 0.2330
Mn3 0.0000 0.0000 0.4892
Mn4 0.0000 0.0000 0.7441
Sb1 0.3333 0.6667 0.3627
Sb2 0.3333 0.6667 0.8705
Sb3 0.6667 0.3333 0.6167
As1 0.6667 0.3333 0.1162
```

Output
The formation energy from the elements comes out at -0.327 eV/atom. The total magnetization comes out at 15.11 μB per cell. As for the electronic total energy: -153.17 eV/cell.